Eu2MgAg2W4O16 PBE with a Hubbard U optimized geometry; total magnetization = 14.008 Bohr magnetons per cell; energy relative to the lowest polymorph listed for this composition = 0 meV per atom; SG = P-1 (2)
1.0
5.3294 4.1005 3.0125
-5.5768 -1.7796 4.7448
1.8149 -8.3946 -1.8606
Eu Mg Ag W O
2 1 2 4 16
Cartesian
-3.2380 -4.1289 2.8675
4.8055 -1.9448 3.0293
-2.7884 -0.8898 2.3724
0.4097 -5.5237 3.2348
1.1579 -0.5499 2.6619
4.4822 1.5254 3.5898
-2.9147 -7.5991 2.3069
-1.8880 -0.6719 5.1988
3.4556 -5.4017 0.6979
2.2980 1.6747 3.9423
-0.7304 -7.7483 1.9544
-2.2969 -6.1762 3.7852
3.8644 0.1026 2.1115
-0.1339 -0.3702 4.8572
1.7015 -5.7034 1.0395
-2.3549 -2.0666 4.0684
3.9225 -4.0070 1.8283
2.4243 -4.9610 4.1797
-0.8567 -1.1127 1.7170
0.8564 -2.5492 0.0003
0.7112 -3.5245 5.8964
-1.8727 0.8636 6.7151
3.4403 -6.9372 -0.8184
2.4369 -2.0465 4.1568
-0.8694 -4.0271 1.7399